The following is a DFT calculation (PBE-GGA) of KMg6Si after structural relaxation.

Unit cell a=4.8973 b=6.1896 c=14.1215 alpha=90.00 beta=90.00 gamma=90.00
Positions (direct):
K1 0.0000 0.0000 0.0000
K2 0.0000 0.5000 0.5000
Mg1 0.0000 0.2408 0.7328
Mg2 0.0000 0.2592 0.2328
Mg3 0.0000 0.7408 0.2328
Mg4 0.0000 0.7592 0.7328
Mg5 0.5000 0.0000 0.1697
Mg6 0.5000 0.0000 0.6255
Mg7 0.5000 0.2426 0.3738
Mg8 0.5000 0.2574 0.8738
Mg9 0.5000 0.5000 0.1255
Mg10 0.5000 0.5000 0.6697
Mg11 0.5000 0.7426 0.8738
Mg12 0.5000 0.7574 0.3738
Si1 0.0000 0.0000 0.3912
Si2 0.0000 0.5000 0.8912

Polymorph energy (0 for the lowest one)   0.015 eV per atom
Final energy   -1.8400 eV per atom
Energy with MP2020 corrections   -29.3 eV/cell
Size of the total moment   0.05 μB per formula unit
Energy of formation from the pure elements   186 meV per atom

The following is a DFT calculation (PBE-GGA) of PrCrGe3 after structural relaxation.

Unit cell a=6.1838 b=6.1838 c=5.7578 alpha=90.00 beta=90.00 gamma=120.00
Positions (direct):
Pr1 0.3333 0.6667 0.2500
Pr2 0.6667 0.3333 0.7500
Cr1 0.0000 0.0000 0.0000
Cr2 0.0000 0.0000 0.5000
Ge1 0.1920 0.3840 0.7500
Ge2 0.1920 0.8080 0.7500
Ge3 0.3840 0.1920 0.2500
Ge4 0.6160 0.8080 0.7500
Ge5 0.8080 0.1920 0.2500
Ge6 0.8080 0.6160 0.2500

Final energy   -6.0545 eV per atom
Size of the total moment   1.37 μB per formula unit
Energy of formation from the pure elements   -394 meV per atom

The following is a DFT calculation (PBE-GGA) of MnGaAsN after structural relaxation.

Unit cell a=6.3812 b=3.7234 c=5.7198 alpha=90.00 beta=90.08 gamma=90.00
Positions (direct):
Mn1 0.0000 0.0000 0.0000
Mn2 0.5000 0.5000 0.0000
Ga1 0.1656 0.5000 0.6318
Ga2 0.6656 0.0000 0.6318
As1 0.0016 0.0000 0.4425
As2 0.5016 0.5000 0.4425
N1 0.1667 0.5000 0.9695
N2 0.6667 0.0000 0.9695

Final energy   -6.2228 eV per atom
Energy with MP2020 corrections   -50.5 eV/cell
Size of the total moment   4.05 μB per formula unit
Energy of formation from the pure elements   -17 meV per atom

The following is a DFT calculation (PBE-GGA) of EuCdAg after structural relaxation.

Unit cell a=11.1742 b=4.9399 c=7.6402 alpha=90.00 beta=130.03 gamma=90.00
Positions (direct):
Eu1 0.0489 0.0000 0.3003
Eu2 0.4511 0.5000 0.6997
Eu3 0.5489 0.5000 0.3003
Eu4 0.9511 0.0000 0.6997
Cd1 0.1701 0.5000 0.1101
Cd2 0.3299 0.0000 0.8899
Cd3 0.6701 0.0000 0.1101
Cd4 0.8299 0.5000 0.8899
Ag1 0.1588 0.5000 0.7057
Ag2 0.3412 0.0000 0.2943
Ag3 0.6588 0.0000 0.7057
Ag4 0.8412 0.5000 0.2943

Final energy   -5.0060 eV per atom
Energy of formation from the pure elements   -335 meV per atom

The following is a DFT calculation (PBE-GGA) of YSiIr2 after structural relaxation.

Unit cell a=5.5816 b=5.5816 c=15.1962 alpha=90.00 beta=90.00 gamma=120.00
Positions (direct):
Y1 0.3333 0.6667 0.0391
Y2 0.3333 0.6667 0.2500
Y3 0.3333 0.6667 0.4609
Y4 0.6667 0.3333 0.5391
Y5 0.6667 0.3333 0.7500
Y6 0.6667 0.3333 0.9609
Si1 0.0000 0.0000 0.0000
Si2 0.0000 0.0000 0.2500
Si3 0.0000 0.0000 0.5000
Si4 0.0000 0.0000 0.7500
Si5 0.3333 0.6667 0.7500
Si6 0.6667 0.3333 0.2500
Ir1 0.1675 0.3349 0.6305
Ir2 0.1675 0.3349 0.8695
Ir3 0.1675 0.8325 0.6305
Ir4 0.1675 0.8325 0.8695
Ir5 0.3349 0.1675 0.1305
Ir6 0.3349 0.1675 0.3695
Ir7 0.6651 0.8325 0.6305
Ir8 0.6651 0.8325 0.8695
Ir9 0.8325 0.1675 0.1305
Ir10 0.8325 0.1675 0.3695
Ir11 0.8325 0.6651 0.1305
Ir12 0.8325 0.6651 0.3695

Final energy   -8.3753 eV per atom
Size of the total moment   0.00 μB per formula unit
Energy of formation from the pure elements   -983 meV per atom

The following is a DFT calculation (PBE-GGA) of K2BeH4Se2O10 after structural relaxation.

Unit cell a=11.6611 b=12.0331 c=7.6159 alpha=90.00 beta=95.95 gamma=90.00
Positions (direct):
K1 0.0944 0.2410 0.4812
K2 0.0944 0.2590 0.9812
K3 0.3889 0.0978 0.8294
K4 0.3889 0.4022 0.3294
K5 0.6111 0.5978 0.6706
K6 0.6111 0.9022 0.1706
K7 0.9056 0.7410 0.0188
K8 0.9056 0.7590 0.5188
Be1 0.2347 0.5849 0.9151
Be2 0.2347 0.9151 0.4151
Be3 0.7653 0.0849 0.5849
Be4 0.7653 0.4151 0.0849
H1 0.1000 0.5129 0.7065
H2 0.1000 0.9871 0.2065
H3 0.1932 0.5834 0.6057
H4 0.1932 0.9166 0.1057
H5 0.2898 0.7304 0.3965
H6 0.2898 0.7696 0.8965
H7 0.4013 0.6885 0.9615
H8 0.4013 0.8115 0.4615
H9 0.5987 0.1885 0.5385
H10 0.5987 0.3115 0.0385
H11 0.7102 0.2304 0.1035
H12 0.7102 0.2696 0.6035
H13 0.8068 0.0834 0.8943
H14 0.8068 0.4166 0.3943
H15 0.9000 0.0129 0.7935
H16 0.9000 0.4871 0.2935
Se1 0.1226 0.5514 0.2508
Se2 0.1226 0.9486 0.7508
Se3 0.3703 0.1120 0.3372
Se4 0.3703 0.3880 0.8372
Se5 0.6297 0.6120 0.1628
Se6 0.6297 0.8880 0.6628
Se7 0.8774 0.0514 0.2492
Se8 0.8774 0.4486 0.7492
O1 0.0059 0.0943 0.1962
O2 0.0059 0.4057 0.6962
O3 0.1306 0.0858 0.7476
O4 0.1306 0.4142 0.2476
O5 0.1340 0.6081 0.0492
O6 0.1340 0.8919 0.5492
O7 0.1594 0.5736 0.7204
O8 0.1594 0.9264 0.2204
O9 0.2299 0.6003 0.3953
O10 0.2299 0.8997 0.8953
O11 0.2658 0.1945 0.2469
O12 0.2658 0.3055 0.7469
O13 0.3116 0.0225 0.4792
O14 0.3116 0.4775 0.9792
O15 0.3197 0.6918 0.9038
O16 0.3197 0.8082 0.4038
O17 0.4319 0.0407 0.1868
O18 0.4319 0.4593 0.6868
O19 0.4618 0.1899 0.4689
O20 0.4618 0.3101 0.9689
O21 0.5382 0.6899 0.0311
O22 0.5382 0.8101 0.5311
O23 0.5681 0.5407 0.3132
O24 0.5681 0.9593 0.8132
O25 0.6803 0.1918 0.5962
O26 0.6803 0.3082 0.0962
O27 0.6884 0.5225 0.0208
O28 0.6884 0.9775 0.5208
O29 0.7342 0.6945 0.2531
O30 0.7342 0.8055 0.7531
O31 0.7701 0.1003 0.1047
O32 0.7701 0.3997 0.6047
O33 0.8406 0.0736 0.7796
O34 0.8406 0.4264 0.2796
O35 0.8660 0.1081 0.4508
O36 0.8660 0.3919 0.9508
O37 0.8694 0.5858 0.7524
O38 0.8694 0.9142 0.2524
O39 0.9941 0.5943 0.3038
O40 0.9941 0.9057 0.8038

Final energy   -5.2999 eV per atom
Energy with MP2020 corrections   -430.3 eV/cell
Size of the total moment   0.00 μB per formula unit
Energy of formation from the pure elements   -1661 meV per atom

The following is a DFT calculation (PBE-GGA) of Na5Sn2PC4O16 after structural relaxation.

Unit cell a=10.1664 b=10.1664 c=9.9457 alpha=118.87 beta=118.87 gamma=91.09
Positions (direct):
Na1 0.0701 0.3283 0.7555
Na2 0.0696 0.9304 0.7500
Na3 0.0707 0.3269 0.1411
Na4 0.3269 0.0707 0.6411
Na5 0.3283 0.0701 0.2555
Na6 0.6717 0.9299 0.7445
Na7 0.6731 0.9293 0.3589
Na8 0.9293 0.6731 0.8589
Na9 0.9304 0.0696 0.2500
Na10 0.9299 0.6717 0.2445
Sn1 0.0000 0.5000 0.5000
Sn2 0.5000 0.0000 0.0000
Sn3 0.5000 0.5000 0.0000
Sn4 0.5000 0.5000 0.5000
P1 0.1255 0.8745 0.2500
P2 0.8745 0.1255 0.7500
C1 0.2825 0.7102 0.5461
C2 0.2873 0.3410 0.5687
C3 0.2898 0.7175 0.9539
C4 0.3410 0.2873 0.0687
C5 0.6590 0.7127 0.9313
C6 0.7102 0.2825 0.0461
C7 0.7127 0.6590 0.4313
C8 0.7175 0.2898 0.4539
O1 0.0582 0.6901 0.1221
O2 0.0582 0.9341 0.3747
O3 0.0659 0.9418 0.1253
O4 0.1467 0.3116 0.5305
O5 0.1542 0.5909 0.4135
O6 0.1554 0.7148 0.8367
O7 0.2852 0.8446 0.6633
O8 0.3024 0.5772 0.9273
O9 0.3097 0.3517 0.4532
O10 0.3099 0.9418 0.3779
O11 0.3116 0.1467 0.0305
O12 0.3517 0.3097 0.9532
O13 0.3550 0.4096 0.2139
O14 0.4091 0.8458 0.0865
O15 0.4096 0.3550 0.7139
O16 0.4228 0.6976 0.5727
O17 0.5772 0.3024 0.4273
O18 0.5904 0.6450 0.2861
O19 0.5909 0.1542 0.9135
O20 0.6450 0.5904 0.7861
O21 0.6483 0.6903 0.0468
O22 0.6884 0.8533 0.9695
O23 0.6901 0.0582 0.6221
O24 0.6903 0.6483 0.5468
O25 0.6976 0.4228 0.0727
O26 0.7148 0.1554 0.3367
O27 0.8446 0.2852 0.1633
O28 0.8458 0.4091 0.5865
O29 0.8533 0.6884 0.4695
O30 0.9341 0.0582 0.8747
O31 0.9418 0.0659 0.6253
O32 0.9418 0.3099 0.8779

Final energy   -6.4799 eV per atom
Energy with MP2020 corrections   -384.9 eV/cell
Size of the total moment   0.00 μB per formula unit
Energy of formation from the pure elements   -2011 meV per atom

The following is a DFT calculation (PBE-GGA) of Ce4Ni4Bi3Sb5 after structural relaxation.

Unit cell a=4.4930 b=4.4930 c=19.2103 alpha=90.00 beta=90.00 gamma=90.00
Positions (direct):
Ce1 0.0000 0.5000 0.1354
Ce2 0.0000 0.5000 0.6384
Ce3 0.5000 0.0000 0.3617
Ce4 0.5000 0.0000 0.8646
Ni1 0.0000 0.0000 0.2498
Ni2 0.0000 0.0000 0.7502
Ni3 0.5000 0.5000 0.2500
Ni4 0.5000 0.5000 0.7500
Bi1 0.0000 0.0000 0.0000
Bi2 0.0000 0.0000 0.5000
Bi3 0.5000 0.5000 0.5000
Sb1 0.0000 0.5000 0.3198
Sb2 0.0000 0.5000 0.8199
Sb3 0.5000 0.0000 0.1801
Sb4 0.5000 0.0000 0.6802
Sb5 0.5000 0.5000 0.0000

Final energy   -5.6131 eV per atom
Energy with MP2020 corrections   -90.8 eV/cell
Size of the total moment   1.32 μB per formula unit
Energy of formation from the pure elements   -725 meV per atom